[1]
A plane-wave DFT calculation with GGA-PBE was carried out for a geometry-optimized Mg14TiMn structure.

Structure (extended XYZ):
```
16
Lattice="10.1209 0.0000 0.0000 0.0000 3.1111 5.5132 0.0000 -3.1111 5.5132" Properties=species:S:1:pos:R:3 pbc="T T T"
Mg 0.0000 0.0000 0.0000
Mg 0.0000 -1.5562 2.7674
Mg 0.0000 0.0000 5.5113
Mg 0.0000 1.5562 2.7674
Mg 2.5571 0.0000 1.8034
Mg 2.6189 0.0000 7.3022
Mg 2.6359 -1.5545 4.6252
Mg 2.6359 1.5545 4.6252
Mg 5.0605 -1.5352 2.7708
Mg 5.0605 1.5352 2.7708
Mg 7.4850 -1.5545 4.6252
Mg 7.4850 1.5545 4.6252
Mg 7.5020 0.0000 7.3022
Mg 7.5638 0.0000 1.8034
Ti 5.0605 0.0000 0.0519
Mn 5.0605 0.0000 5.4872
```

The value obtained for the relative energy among the computed polymorphs is 0 meV per atom. As for the energy of formation: 87 meV per atom. Its spin magnetization is 2.6 μB/f.u. The space group is Amm2, No. 38.

=====

[2]
A plane-wave DFT calculation with GGA-PBE was carried out for a geometry-optimized Re2C3Cl3O6 structure.

Structure (extended XYZ):
```
56
Lattice="13.2840 0.0000 0.0000 0.0000 11.2320 0.0000 0.0000 0.0000 7.5166" Properties=species:S:1:pos:R:3 pbc="T T T"
Re 2.4818 2.3633 0.0000
Re 3.2683 9.6273 5.0315
Re 3.3737 4.0113 1.2732
Re 4.1602 7.9793 3.7583
Re 9.1238 3.2527 0.0000
Re 9.9103 7.2207 5.0315
Re 10.0158 1.6047 1.2732
Re 10.8022 8.8687 3.7583
C 1.5582 2.3531 2.7224
C 1.7551 7.1594 5.1511
C 2.2604 9.5769 2.3406
C 4.3816 3.9609 6.0989
C 4.8869 1.5434 1.3928
C 5.0838 7.9691 6.4807
C 8.2002 3.2629 2.7224
C 8.3971 9.6886 5.1511
C 8.9024 7.2711 2.3406
C 11.0236 1.6551 6.0989
C 11.5289 4.0726 1.3928
C 11.7258 8.8789 6.4807
Cl 0.6717 3.3667 6.5922
Cl 1.6876 0.0445 6.4027
Cl 1.8980 5.6925 0.9510
Cl 4.7440 0.0765 4.7093
Cl 4.9544 5.6605 2.6445
Cl 5.9703 8.9827 2.8339
Cl 7.3137 2.2493 6.5922
Cl 8.3296 5.5715 6.4027
Cl 8.5400 11.1555 0.9510
Cl 11.3860 5.5395 4.7093
Cl 11.5964 11.1875 2.6445
Cl 12.6123 7.8653 2.8339
O 1.4153 1.6877 1.6767
O 1.7050 8.3140 5.6398
O 2.0794 10.2163 3.3959
O 2.3316 3.3179 2.9381
O 2.6012 6.6715 4.3603
O 2.9660 8.5636 2.1430
O 3.6760 2.9476 5.9013
O 4.0409 1.0555 0.6020
O 4.3104 8.9339 6.6964
O 4.5626 4.6003 7.1542
O 4.9371 2.6980 1.8816
O 5.2268 7.3037 5.4350
O 8.0573 3.9283 1.6767
O 8.3470 8.5340 5.6398
O 8.7214 6.6317 3.3959
O 8.9736 2.2981 2.9381
O 9.2432 10.1765 4.3603
O 9.6081 8.2844 2.1430
O 10.3180 2.6684 5.9013
O 10.6829 4.5605 0.6020
O 10.9524 7.9141 6.6964
O 11.2047 1.0157 7.1542
O 11.5791 2.9180 1.8816
O 11.8688 9.5443 5.4350
```

As for the energy of formation: -820 meV per atom. Its spin magnetization is 1.0 μB/f.u. The space group is Pna2_1, No. 33.

=====

[3]
A plane-wave DFT calculation with GGA-PBE was carried out for a geometry-optimized SiBi2O5 structure.

Structure (extended XYZ):
```
16
Lattice="7.7044 -2.7769 0.0000 7.7044 2.7769 0.0000 0.0000 0.0000 5.3924" Properties=species:S:1:pos:R:3 pbc="T T T"
Si 7.7044 1.7943 2.6962
Si 7.7044 -1.7943 0.0000
Bi 5.1474 1.2181 5.0393
Bi 10.2614 1.2181 5.0393
Bi 5.1474 -1.2181 2.3432
Bi 10.2614 -1.2181 2.3432
O 7.7044 2.6111 1.2342
O 6.3069 0.9744 2.8269
O 3.8358 0.0571 1.1195
O 3.8358 -0.0571 3.8157
O 9.1018 0.9744 2.8269
O 6.3069 -0.9744 0.1307
O 11.5730 0.0571 1.1195
O 11.5730 -0.0571 3.8157
O 9.1018 -0.9744 0.1307
O 7.7044 -2.6111 3.9304
```

The value obtained for the relative energy among the computed polymorphs is 0 meV per atom. As for the energy of formation: -2281 meV per atom. The space group is Cmc2_1, No. 36.

=====

[4]
A plane-wave DFT calculation with GGA-PBE was carried out for a geometry-optimized Tm3Sc2Al3O12 structure.

Structure (extended XYZ):
```
80
Lattice="-6.1720 6.1720 6.1720 6.1720 -6.1720 6.1720 6.1720 6.1720 -6.1720" Properties=species:S:1:pos:R:3 pbc="T T T"
Tm 3.0860 1.5430 0.0000
Tm 6.1720 3.0860 -1.5430
Tm 1.5430 0.0000 3.0860
Tm 7.7150 0.0000 3.0860
Tm 0.0000 3.0860 1.5430
Tm 3.0860 -1.5430 6.1720
Tm 3.0860 7.7150 0.0000
Tm 6.1720 3.0860 4.6290
Tm -1.5430 6.1720 3.0860
Tm 4.6290 6.1720 3.0860
Tm 0.0000 3.0860 7.7150
Tm 3.0860 4.6290 6.1720
Sc 0.0000 0.0000 0.0000
Sc 3.0860 3.0860 -3.0860
Sc 3.0860 -3.0860 3.0860
Sc 6.1720 0.0000 0.0000
Sc -3.0860 3.0860 3.0860
Sc 0.0000 6.1720 0.0000
Sc 0.0000 0.0000 6.1720
Sc 3.0860 3.0860 3.0860
Al 9.2580 1.5430 0.0000
Al 6.1720 -3.0860 4.6290
Al 4.6290 6.1720 -3.0860
Al 4.6290 0.0000 3.0860
Al 3.0860 4.6290 0.0000
Al 6.1720 3.0860 1.5430
Al 0.0000 3.0860 4.6290
Al 3.0860 1.5430 6.1720
Al 1.5430 6.1720 3.0860
Al 1.5430 0.0000 9.2580
Al 0.0000 9.2580 1.5430
Al -3.0860 4.6290 6.1720
O 1.9432 -0.3722 0.7181
O 7.3148 3.8041 -3.4582
O 8.1152 0.3722 0.7181
O 7.3148 -2.3679 3.4582
O 5.7998 -0.7181 1.9432
O 9.6303 -1.1428 2.3679
O 0.7181 1.9432 -0.3722
O 8.5399 2.7138 -1.1428
O 3.8041 3.4582 -1.1428
O 5.4539 1.9432 0.3722
O -0.3722 0.7181 1.9432
O 3.4582 -1.1428 3.8041
O 5.7998 5.4539 -1.9432
O 3.4582 1.1428 2.3679
O 3.8041 -3.4582 7.3148
O 5.4539 -1.9432 5.7998
O 2.3679 3.4582 1.1428
O 6.8901 4.2288 0.3722
O 3.4582 7.3148 -2.3679
O 5.7998 0.7181 4.2288
O 1.9432 5.7998 -0.7181
O 7.3148 2.3679 2.7138
O 1.1428 2.3679 3.4582
O 1.9432 0.3722 5.4539
O 4.2288 5.7998 0.7181
O 5.0292 3.8041 2.7138
O -1.1428 3.8041 3.4582
O 4.2288 0.3722 6.8901
O 0.3722 5.4539 1.9432
O 2.7138 -1.1428 8.5399
O -0.7181 1.9432 5.7998
O 3.8041 2.7138 5.0292
O 0.7181 8.1152 0.3722
O 2.3679 9.6303 -1.1428
O 2.7138 5.0292 3.8041
O 0.3722 0.7181 8.1152
O 2.7138 7.3148 2.3679
O 6.5442 5.4539 4.2288
O 0.7181 4.2288 5.7998
O 2.3679 2.7138 7.3148
O -2.3679 3.4582 7.3148
O 5.4539 4.2288 6.5442
O -3.4582 7.3148 3.8041
O 0.3722 6.8901 4.2288
O -1.1428 8.5399 2.7138
O -1.9432 5.7998 5.4539
O -1.1428 2.3679 9.6303
O 4.2288 6.5442 5.4539
```

As for the energy of formation: -3836 meV per atom. Its spin magnetization is 0.0 μB/f.u. The space group is Ia-3d, No. 230.

=====

Number 1: volume 21.7 Å³/atom. Number 2: volume 20.0 Å³/atom. Number 3: volume 14.4 Å³/atom. Number 4: volume 11.8 Å³/atom.